Record 1
Below is a geometry-optimized CrSbO4 structure, with properties calculated at the GGA+U level.

Calculated values
Largest piezoelectric modulus in C/m²: 0.5
MP2020-corrected energy in eV/atom: -7.65
Energy of formation from the pure elements in eV/atom: -2.0522
Calculated total energy in eV per atom: -6.857

Lattice parameters (Å, degrees): 5.595 5.595 5.595 138.47 138.47 60.18
Sites, in units of the cell vectors:
O1 0.795 0.795 0.000
O2 0.958 0.458 0.500
O3 0.205 0.205 0.000
O4 0.542 0.042 0.500
Cr1 0.750 0.250 0.500
Sb1 0.000 0.000 0.000

***

Record 2
Below is a geometry-optimized Cr13Si2Sb2O28 structure, with properties calculated at the GGA+U level.

Calculated values
MP2020-corrected energy in eV/atom: -8.32
Energy of formation from the pure elements in eV/atom: -2.0243
Calculated total energy in eV per atom: -7.311

Lattice parameters (Å, degrees): 5.731 8.630 11.678 86.88 75.73 77.35
Sites, in units of the cell vectors:
Cr1 0.792 0.350 0.867
Cr2 0.347 0.649 0.866
Cr3 0.717 0.999 0.568
Cr4 0.284 0.999 0.432
Cr5 0.936 0.626 0.692
Cr6 0.427 0.999 0.148
Cr7 0.575 0.999 0.853
Cr8 0.002 0.999 0.000
Cr9 0.626 0.624 0.308
Cr10 0.063 0.373 0.309
Cr11 0.210 0.649 0.134
Cr12 0.656 0.349 0.134
Cr13 0.373 0.374 0.692
O1 0.980 0.607 0.278
O2 0.169 0.126 0.282
O3 0.453 0.126 0.718
O4 0.995 0.894 0.433
O5 0.831 0.872 0.718
O6 0.287 0.397 0.119
O7 0.019 0.392 0.722
O8 0.850 0.631 0.571
O9 0.150 0.368 0.429
O10 0.705 0.115 0.136
O11 0.573 0.104 0.433
O12 0.006 0.104 0.567
O13 0.841 0.116 0.865
O14 0.044 0.651 0.002
O15 0.428 0.894 0.567
O16 0.716 0.601 0.882
O17 0.297 0.884 0.864
O18 0.347 0.127 0.000
O19 0.959 0.348 0.999
O20 0.258 0.605 0.720
O21 0.594 0.602 0.120
O22 0.578 0.366 0.570
O23 0.409 0.396 0.880
O24 0.546 0.873 0.282
O25 0.739 0.393 0.281
O26 0.161 0.882 0.136
O27 0.656 0.871 0.000
O28 0.419 0.634 0.429
Si1 0.250 0.320 0.999
Si2 0.754 0.679 0.001
Sb1 0.151 0.999 0.702
Sb2 0.851 0.999 0.298

***

Record 3
Below is a geometry-optimized CrSnSbO6 structure, with properties calculated at the GGA+U level.

Calculated values
Largest piezoelectric modulus in C/m²: 0.1
MP2020-corrected energy in eV/atom: -7.40
Energy of formation from the pure elements in eV/atom: -2.1259
Calculated total energy in eV per atom: -6.721

Lattice parameters (Å, degrees): 4.725 9.442 9.467 90.00 90.00 90.00
Sites, in units of the cell vectors:
O1 0.696 0.348 0.671
O2 0.304 0.152 0.671
O3 0.188 0.906 0.499
O4 0.812 0.594 0.499
O5 0.197 0.901 0.830
O6 0.312 0.156 0.999
O7 0.303 0.152 0.330
O8 0.304 0.652 0.671
O9 0.188 0.406 0.499
O10 0.697 0.348 0.330
O11 0.688 0.844 0.999
O12 0.197 0.401 0.830
O13 0.697 0.848 0.330
O14 0.303 0.652 0.330
O15 0.812 0.094 0.499
O16 0.803 0.099 0.830
O17 0.688 0.344 0.999
O18 0.804 0.098 0.171
O19 0.196 0.902 0.171
O20 0.803 0.599 0.830
O21 0.312 0.656 0.999
O22 0.804 0.598 0.171
O23 0.696 0.848 0.671
O24 0.196 0.402 0.171
Sb1 0.500 0.750 0.833
Sb2 0.500 0.250 0.833
Sb3 0.000 0.000 0.333
Sb4 0.000 0.500 0.333
Sn1 0.000 0.000 0.999
Sn2 0.000 0.500 0.999
Sn3 0.500 0.250 0.499
Sn4 0.500 0.750 0.499
Cr1 0.500 0.250 0.167
Cr2 0.000 0.500 0.667
Cr3 0.500 0.750 0.167
Cr4 0.000 0.000 0.667

***

- Among the records above, which one has the lowest energy of formation from the pure elements?
  CrSnSbO6